Record 1
## MgVTe4O12 (PBE with a Hubbard U)

Data for MgVTe4O12 after structural relaxation.

Properties
symmetry: P1 (1)
MP2020-corrected energy: -114.962 eV per cell
E above lowest polymorph: 0 meV/atom

abc: 5.672 10.391 10.366
angles: 28.63 57.14 58.27
Fractional positions:
O (0.437, 0.405, 0.970)
O (0.561, 0.073, 0.005)
O (0.049, 0.244, 0.823)
O (0.861, 0.585, 0.290)
O (0.647, 0.780, 0.748)
O (0.320, 0.699, 0.198)
O (0.992, 0.277, 0.105)
O (0.162, 0.721, 0.570)
O (0.098, 0.000, 0.785)
O (0.626, 0.191, 0.569)
O (0.273, 0.982, 0.503)
O (0.751, 0.822, 0.367)
Te (0.065, 0.631, 0.858)
Te (0.954, 0.905, 0.081)
Te (0.478, 0.446, 0.513)
Te (0.437, 0.125, 0.501)
V (0.346, 0.061, 0.231)
Mg (0.816, 0.543, 0.742)


Record 2
## MgVTe4O12 (PBE with a Hubbard U)

Data for MgVTe4O12 after structural relaxation.

Properties
symmetry: P1 (1)
MP2020-corrected energy: -114.022 eV per cell
E above lowest polymorph: 52 meV/atom

abc: 6.034 13.949 12.679
angles: 22.35 41.95 46.38
Fractional positions:
Te (0.953, 0.521, 0.980)
Te (0.039, 0.956, 0.002)
Te (0.483, 0.989, 0.530)
Te (0.556, 0.477, 0.424)
O (0.765, 0.858, 0.323)
O (0.131, 0.807, 0.703)
O (0.360, 0.314, 0.072)
O (0.447, 0.816, 0.076)
O (0.869, 0.200, 0.250)
O (0.701, 0.371, 0.336)
O (0.190, 0.682, 0.617)
O (0.129, 0.345, 0.701)
O (0.523, 0.179, 0.951)
O (0.146, 0.114, 0.603)
O (0.542, 0.687, 0.910)
O (0.878, 0.665, 0.289)
Mg (0.682, 0.498, 0.658)
V (0.321, 0.019, 0.288)


Record 3
## MgVTe4O12 (PBE with a Hubbard U)

Data for MgVTe4O12 after structural relaxation.

Properties
symmetry: P1 (1)
MP2020-corrected energy: -113.645 eV per cell
E above lowest polymorph: 73 meV/atom

abc: 6.227 12.110 11.034
angles: 26.69 45.35 51.85
Fractional positions:
O (0.925, 0.157, 0.235)
O (0.894, 0.751, 0.147)
O (0.071, 0.850, 0.705)
O (0.714, 0.909, 0.289)
O (0.321, 0.309, 0.083)
O (0.273, 0.132, 0.604)
O (0.384, 0.810, 0.089)
O (0.105, 0.282, 0.751)
O (0.595, 0.688, 0.851)
O (0.748, 0.328, 0.453)
O (0.522, 0.149, 0.924)
O (0.210, 0.698, 0.586)
V (0.318, 0.035, 0.264)
Te (0.546, 0.999, 0.496)
Te (0.059, 0.964, 0.993)
Te (0.431, 0.431, 0.577)
Te (0.956, 0.545, 0.960)
Mg (0.789, 0.972, 0.829)


no.,energy relative to the elements (eV per formula unit)
1,-32.33
2,-31.39
3,-31.01